Entry a
! Ce2Mg | the Materials Project | PBE | relaxed; values from VASP
&SYSTEM
  ibrav = 0, nat = 6, ntyp = 2
/
ATOMIC_SPECIES
Ce 140.12 Ce.upf
Mg 24.30 Mg.upf
CELL_PARAMETERS angstrom
1.627 5.343 0.000
-1.627 5.343 0.000
0.000 3.674 8.930
ATOMIC_POSITIONS crystal
Ce 0.687 0.687 0.889
Ce 0.981 0.981 0.778
Mg 0.658 0.658 0.442
Ce 0.313 0.313 0.111
Mg 0.342 0.342 0.558
Ce 0.019 0.019 0.222
! Space group   No. 12

=====

Entry b
! Ce2Mg | the Materials Project | PBE | relaxed; values from VASP
&SYSTEM
  ibrav = 0, nat = 6, ntyp = 2
/
ATOMIC_SPECIES
Ce 140.12 Ce.upf
Mg 24.30 Mg.upf
CELL_PARAMETERS angstrom
-1.632 -3.184 5.492
1.489 -2.537 5.857
-1.807 5.599 5.511
ATOMIC_POSITIONS crystal
Ce 0.685 0.685 0.672
Ce 0.284 0.284 0.921
Ce 0.318 0.318 0.348
Mg 0.603 0.603 0.278
Ce 0.980 0.980 0.022
Mg 0.964 0.964 0.592
! Space group   No. 8

=====

Q: Which of them is the most stable? A: entry a.